The following is a DFT calculation (PBE-GGA) of a relaxed structure of K2DyAgCl6.

Results
- Energy relative to the elements: -2143 meV/atom
- Spin magnetization: 0.0 μB per formula unit
- VASP energy: -38.50 eV per cell

POSCAR file:
```
K2DyAgCl6
1.0
-1.471 -7.163 -2.003
-7.114 -2.613 0.220
-3.709 -1.447 -6.453
K Dy Ag Cl
2 1 1 6
direct
0.750 0.750 0.750
0.250 0.250 0.250
0.000 0.000 0.000
0.500 0.500 0.500
0.755 0.245 0.245
0.245 0.245 0.755
0.245 0.755 0.755
0.245 0.755 0.245
0.755 0.245 0.755
0.755 0.755 0.245
```